TiMn2O6 (GGA+U, relaxed); crystal system = monoclinic; M_tot = 0.667 μB per atom; symmetry = C2/m, No. 12; energy of formation from the pure elements = -2.2861 eV per atom; final energy = -69.02 eV/cell
1.0
-5.1333 -3.5163 1.9964
-4.9625 -4.1583 -0.8849
2.4800 -5.1128 1.2863
O Ti Mn
6 1 2
Direct
0.5119 0.5119 0.2724
0.8411 0.8411 0.6145
0.4881 0.4881 0.7276
0.8223 0.8223 0.0575
0.1777 0.1777 0.9425
0.1589 0.1589 0.3855
0.0000 0.0000 0.5000
0.3326 0.3326 0.8350
0.6674 0.6674 0.1650

---

Li9Mn2Co5O16 (GGA+U, relaxed); crystal system = triclinic; M_tot = 0.250 μB per atom; symmetry = P-1, No. 2; energy of formation from the pure elements = -1.8403 eV per atom; final energy = -186.58 eV/cell
1.0
-0.8860 -4.5080 2.2507
4.2457 -5.3835 -3.5553
6.0513 0.2159 4.8125
Li O Co Mn
9 16 5 2
Direct
0.4887 0.1955 0.9385
0.4923 0.3203 0.5526
0.5006 0.4444 0.1840
0.4994 0.5556 0.8160
0.5077 0.6797 0.4474
0.5113 0.8045 0.0615
0.0000 0.5000 0.0000
0.5127 0.9308 0.6886
0.4873 0.0692 0.3114
0.2453 0.7800 0.6734
0.2150 0.1569 0.5245
0.2043 0.9233 0.2810
0.2137 0.2763 0.1614
0.7850 0.8431 0.4755
0.2363 0.6752 0.0253
0.7632 0.6036 0.2293
0.7957 0.0767 0.7190
0.7863 0.7237 0.8386
0.7782 0.9665 0.0824
0.2330 0.5389 0.4076
0.7547 0.2200 0.3266
0.2218 0.0335 0.9176
0.2368 0.3964 0.7707
0.7637 0.3248 0.9747
0.7670 0.4611 0.5924
0.0047 0.6229 0.6290
0.9953 0.3771 0.3710
0.9984 0.7407 0.2468
0.0000 0.0000 0.5000
0.0016 0.2593 0.7532
0.9865 0.1320 0.1236
0.0135 0.8680 0.8764

---

LiFe6O7F5 (GGA+U, relaxed); crystal system = triclinic; M_tot = 0.000 μB per atom; symmetry = P1, No. 1; energy of formation from the pure elements = -2.0470 eV per atom; final energy = -115.18 eV/cell
1.0
-2.9023 -5.0418 0.6308
5.6382 -2.1569 0.1572
-0.4732 2.2075 5.6655
O F Li Fe
7 5 1 6
Direct
0.1884 0.5754 0.4161
0.9284 0.6578 0.0690
0.8207 0.4187 0.5943
0.4133 0.6072 0.8333
0.4043 0.1775 0.5901
0.5926 0.8299 0.4106
0.5716 0.4031 0.1764
0.6829 0.0563 0.8880
0.1157 0.2975 0.9295
0.0550 0.8849 0.6719
0.3191 0.9595 0.1150
0.9417 0.1175 0.3160
0.9927 0.9827 0.9955
0.1472 0.3455 0.6099
0.2982 0.6119 0.1351
0.8505 0.6513 0.3722
0.6023 0.1546 0.3496
0.4006 0.8561 0.6546
0.6748 0.4127 0.8729

---

MgFe10O16F4 (GGA+U, relaxed); crystal system = triclinic; M_tot = 1.484 μB per atom; symmetry = P1, No. 1; energy of formation from the pure elements = -1.6817 eV per atom; final energy = -189.86 eV/cell
1.0
-4.8289 -0.0897 0.0505
0.3014 9.0363 -9.1917
-0.0615 -4.6390 -3.1841
O F Fe Mg
16 4 10 1
Direct
0.2856 0.5469 0.4272
0.1834 0.3264 0.5624
0.3373 0.7371 0.7925
0.8559 0.8531 0.8933
0.2342 0.9294 0.6460
0.7724 0.4641 0.1600
0.6606 0.4678 0.6553
0.7334 0.8550 0.3799
0.7253 0.2594 0.8273
0.8206 0.6693 0.5354
0.2393 0.3501 0.0486
0.3359 0.1296 0.5334
0.3693 0.9310 0.1446
0.2413 0.1417 0.0195
0.8397 0.0629 0.2527
0.6838 0.6582 0.0290
0.7582 0.0410 0.7602
0.1651 0.5416 0.9145
0.2095 0.7377 0.2809
0.7092 0.2660 0.3064
0.5402 0.9896 0.4566
0.9130 0.4002 0.8437
0.0173 0.8017 0.5925
0.0808 0.9848 0.9749
0.9758 0.5965 0.2371
0.5062 0.6052 0.7139
0.4615 0.4131 0.3441
0.5512 0.7977 0.0800
0.3415 0.2483 0.7897
0.0780 0.1906 0.3459
0.6527 0.1444 0.0357

---

LiMnP5O15 (GGA+U, relaxed); crystal system = monoclinic; M_tot = 0.182 μB per atom; symmetry = P2_1/c, No. 14; energy of formation from the pure elements = -2.4602 eV per atom; final energy = -618.03 eV/cell
1.0
13.6346 0.0000 0.0000
0.0000 9.0176 0.0000
0.0000 1.7508 10.1775
Mn O P Li
4 60 20 4
Direct
0.0000 0.5000 0.5000
0.0000 0.5000 0.0000
0.5000 0.5000 0.0000
0.5000 0.5000 0.5000
0.4948 0.0971 0.3384
0.6463 0.6951 0.1919
0.2367 0.9208 0.4087
0.3538 0.1068 0.5019
0.8744 0.5087 0.9022
0.3242 0.1359 0.0251
0.6462 0.8932 0.4981
0.3809 0.5097 0.1047
0.1256 0.4913 0.0978
0.8621 0.6978 0.1967
0.4276 0.5585 0.3366
0.2333 0.9078 0.1538
0.1379 0.3022 0.8033
0.1462 0.1068 0.0019
0.0782 0.5701 0.3189
0.2530 0.5305 0.2686
0.8809 0.4903 0.3953
0.8242 0.8641 0.4749
0.7367 0.0792 0.0913
0.1758 0.1359 0.5251
0.9543 0.9322 0.6363
0.5782 0.4299 0.1811
0.7667 0.0922 0.8462
0.9218 0.4299 0.6811
0.9785 0.7132 0.5058
0.2667 0.9078 0.6538
0.4785 0.2868 0.9942
0.9880 0.7068 0.0110
0.5052 0.9029 0.6616
0.7470 0.4695 0.7314
0.0724 0.5585 0.8366
0.5120 0.7068 0.5110
0.7333 0.0922 0.3462
0.0052 0.0971 0.8384
0.5215 0.7132 0.0058
0.1463 0.3049 0.3081
0.4543 0.0678 0.8637
0.5724 0.4415 0.6634
0.2633 0.9208 0.9087
0.6379 0.6978 0.6967
0.9948 0.9029 0.1616
0.7530 0.4695 0.2314
0.0120 0.2932 0.9890
0.3744 0.4913 0.5978
0.2470 0.5305 0.7686
0.4218 0.5701 0.8189
0.3537 0.3049 0.8081
0.8537 0.6951 0.6919
0.0457 0.0678 0.3637
0.4880 0.2932 0.4890
0.6256 0.5087 0.4022
0.9276 0.4415 0.1634
0.6191 0.4903 0.8953
0.7633 0.0792 0.5913
0.3621 0.3022 0.3033
0.0215 0.2868 0.4942
0.5457 0.9322 0.1363
0.8538 0.8932 0.9981
0.1191 0.5097 0.6047
0.6758 0.8641 0.9749
0.6424 0.5214 0.2542
0.1424 0.4786 0.2458
0.5875 0.8090 0.0767
0.4125 0.1910 0.9233
0.2440 0.0036 0.0206
0.0668 0.1936 0.9064
0.8624 0.5221 0.2495
0.9332 0.8064 0.0936
0.4332 0.1936 0.4064
0.1376 0.4779 0.7505
0.2560 0.0036 0.5206
0.3576 0.4786 0.7458
0.9125 0.8090 0.5767
0.3624 0.4779 0.2505
0.6376 0.5221 0.7495
0.8576 0.5214 0.7542
0.0875 0.1910 0.4233
0.7560 0.9964 0.9794
0.5668 0.8064 0.5936
0.7440 0.9964 0.4794
0.3871 0.9127 0.7790
0.8871 0.0873 0.7210
0.1129 0.9127 0.2790
0.6129 0.0873 0.2210

---

NaMnO2 (GGA+U, relaxed); crystal system = trigonal; M_tot = 1.000 μB per atom; symmetry = R-3m, No. 166; energy of formation from the pure elements = -1.9338 eV per atom; final energy = -25.07 eV/cell
1.0
2.9248 -0.0468 4.8684
1.3144 2.6133 4.8684
-0.0773 -0.0468 5.6789
Na O Mn
1 2 1
Direct
0.5000 0.5000 0.5000
0.2672 0.2672 0.2672
0.7328 0.7328 0.7328
0.0000 0.0000 0.0000